Record 1
Compound: Ca2Ta2NiO8
Source: Materials Project
Functional: PBE+U
Structure: optimized geometry

Values from the calculation:
* DFT formation energy: -3.036 eV per atom
* space-group type: C2/c
* crystal system: monoclinic
* uncorrected energy: -209.05 eV/cell
* total magnetization: 4.00 μB/cell
* MP2020-corrected energy: -112.56 eV/f.u.
* mass density: 6.4 Mg/m³

a = 9.9364 Å, b = 9.9364 Å, c = 5.4402 Å
α = 88.57°, β = 88.57°, γ = 37.17°
Closest atoms and distances in Å follow each position.
Fractional coordinates of all 26 atoms:
1 O 0.7590 0.8826 0.4899  2 Ta 2.03-2.26, 1 Ca 2.23
2 Ca 0.1188 0.4653 0.7421  4 O 2.20-2.34
3 O 0.4707 0.1591 0.8392  1 Ta 1.93
4 O 0.0579 0.8062 0.5869  2 Ta 2.02-2.10, 1 Ni 2.19
5 Ca 0.8812 0.5347 0.2579  4 O 2.20-2.34
6 Ca 0.5347 0.8812 0.7579  4 O 2.20-2.34
7 O 0.6980 0.4147 0.9176  1 Ta 1.88, 1 Ni 2.07
8 O 0.8062 0.0579 0.0869  2 Ta 2.02-2.10, 1 Ni 2.19
9 O 0.8409 0.5293 0.6608  1 Ta 1.93
10 O 0.1938 0.9421 0.9131  2 Ta 2.02-2.10, 1 Ni 2.19
11 O 0.1591 0.4707 0.3392  1 Ta 1.93
12 O 0.8826 0.7590 0.9899  2 Ta 2.03-2.26, 1 Ca 2.23
13 Ta 0.2597 0.9601 0.2500  5 O 1.88-2.10
14 Ni 0.3666 0.6334 0.7500  6 O 2.07-2.25
15 O 0.5293 0.8409 0.1608  1 Ta 1.93
16 Ta 0.9601 0.2597 0.7500  5 O 1.88-2.10
17 Ta 0.0399 0.7403 0.2500  5 O 1.88-2.10
18 O 0.3020 0.5853 0.0824  1 Ta 1.88, 1 Ni 2.07
19 O 0.1174 0.2410 0.0101  2 Ta 2.03-2.26, 1 Ca 2.23
20 Ca 0.4653 0.1188 0.2421  4 O 2.20-2.34
21 O 0.5853 0.3020 0.5824  1 Ta 1.88, 1 Ni 2.07
22 O 0.2410 0.1174 0.5101  2 Ta 2.03-2.26, 1 Ca 2.23
23 Ni 0.6334 0.3666 0.2500  6 O 2.07-2.25
24 O 0.9421 0.1938 0.4131  2 Ta 2.02-2.10, 1 Ni 2.19
25 O 0.4147 0.6980 0.4176  1 Ta 1.88, 1 Ni 2.07
26 Ta 0.7403 0.0399 0.7500  5 O 1.88-2.10

Record 2
Compound: TiV2CrO10
Source: Materials Project
Functional: PBE+U
Structure: optimized geometry

Values from the calculation:
* DFT formation energy: -2.269 eV per atom
* space-group type: P-4m2
* crystal system: tetragonal
* uncorrected energy: -104.70 eV/cell
* total magnetization: 0.00 μB/cell
* MP2020-corrected energy: -116.97 eV/f.u.
* mass density: 3.0 Mg/m³

a = 6.6494 Å, b = 6.6494 Å, c = 4.4559 Å
α = 90.00°, β = 90.00°, γ = 90.00°
Closest atoms and distances in Å follow each position.
Fractional coordinates of all 14 atoms:
1 O 0.7334 0.5000 0.2776  1 V 1.83, 1 Ti 1.84
2 V 0.5000 0.0000 0.6203  1 O 1.62
3 O 0.5000 0.2666 0.7224  1 V 1.83, 1 Ti 1.84
4 V 0.0000 0.5000 0.3797  1 O 1.62
5 O 0.7949 0.0000 0.7141  1 Cr 1.66
6 O 0.0000 0.7949 0.2859  1 Cr 1.66
7 O 0.0000 0.5000 0.7433  1 V 1.62
8 O 0.5000 0.7334 0.7224  1 V 1.83, 1 Ti 1.84
9 Ti 0.5000 0.5000 0.5000  4 O 1.84
10 O 0.5000 0.0000 0.2567  1 V 1.62
11 O 0.0000 0.2051 0.2859  1 Cr 1.66
12 Cr 0.0000 0.0000 0.5000  4 O 1.66
13 O 0.2051 0.0000 0.7141  1 Cr 1.66
14 O 0.2666 0.5000 0.2776  1 V 1.83, 1 Ti 1.84

Record 3
Compound: Sr2MgNiRuO6
Source: Materials Project
Functional: PBE+U
Structure: optimized geometry

Values from the calculation:
* DFT formation energy: -1.969 eV per atom
* space-group type: Cm
* crystal system: monoclinic
* uncorrected energy: -64.72 eV/cell
* total magnetization: 0.00 μB/cell
* distance to the lowest polymorph of the same formula: 77.4 meV per atom
* MP2020-corrected energy: -71.38 eV/f.u.
* mass density: 4.4 Mg/m³

a = 6.0057 Å, b = 6.0057 Å, c = 6.1648 Å
α = 66.83°, β = 66.83°, γ = 60.02°
Closest atoms and distances in Å follow each position.
Fractional coordinates of all 11 atoms:
1 Ni 0.0094 0.0094 0.9971  5 O 1.98-2.14
2 Mg 0.4128 0.4128 0.7862  3 O 1.87-1.89
3 Ru 0.5671 0.5671 0.2667  3 O 1.79-1.81
4 O 0.7422 0.2173 0.2740  1 Ru 1.81
5 Sr 0.1787 0.1787 0.4623  3 O 2.39-2.41
6 O 0.2173 0.7422 0.2740  1 Ru 1.81
7 O 0.2059 0.7732 0.7727  1 Mg 1.87, 1 Ni 1.98
8 O 0.2257 0.2257 0.8075  1 Mg 1.89, 1 Ni 2.01
9 O 0.7732 0.2059 0.7727  1 Mg 1.87, 1 Ni 1.98
10 O 0.7319 0.7319 0.2931  1 Ru 1.79
11 Sr 0.8049 0.8049 0.6984  4 O 2.53-2.80

Record 4
Compound: Mg4FeO5
Source: Materials Project
Functional: PBE+U
Structure: optimized geometry

Values from the calculation:
* DFT formation energy: -2.733 eV per atom
* uncorrected energy: -245.00 eV/cell
* distance to the lowest polymorph of the same formula: 2.9 meV per atom
* MP2020-corrected energy: -66.94 eV/f.u.
* mass density: 3.9 Mg/m³

a = 6.0891 Å, b = 9.0097 Å, c = 7.4230 Å
α = 104.92°, β = 90.00°, γ = 90.00°
Closest atoms and distances in Å follow each position.
Fractional coordinates of all 40 atoms:
1 Mg 0.5000 0.5981 0.1982  6 O 2.10-2.16
2 O 0.2500 0.3006 0.6020  1 Fe 2.12, 5 Mg 2.12-2.17
3 Mg 0.0000 0.2004 0.3994  6 O 2.10-2.17
4 O 0.4999 0.3953 0.2894  4 Mg 2.10-2.12, 2 Fe 2.21
5 O 0.2500 0.1047 0.2106  4 Mg 2.10-2.12, 2 Fe 2.21
6 Mg 0.5000 0.7996 0.6006  6 O 2.10-2.17
7 O 0.2500 0.5000 0.0000  6 Mg 2.12-2.14
8 Mg 0.2500 0.9020 0.3018  6 O 2.11-2.16
9 Mg 0.7500 0.9020 0.3018  6 O 2.10-2.16
10 O 0.4999 0.6047 0.7106  4 Mg 2.10-2.12, 2 Fe 2.21
11 Mg 0.7500 0.0980 0.6982  6 O 2.11-2.16
12 Mg 0.2500 0.0981 0.6982  6 O 2.10-2.16
13 Mg 0.5000 0.4019 0.8018  6 O 2.10-2.16
14 Mg 0.5000 0.2004 0.3994  6 O 2.10-2.17
15 Mg 0.7500 0.2996 0.1006  6 O 2.10-2.17
16 Fe 0.2501 0.5000 0.5000  6 O 2.12-2.21
17 O 0.7500 0.8953 0.7894  4 Mg 2.10-2.12, 2 Fe 2.21
18 O 0.7500 0.1047 0.2106  4 Mg 2.10-2.12, 2 Fe 2.21
19 O 0.0000 0.8005 0.1020  1 Fe 2.12, 5 Mg 2.12-2.17
20 Mg 0.2500 0.2996 0.1006  6 O 2.10-2.17
21 Fe 0.4999 0.0000 0.0000  6 O 2.12-2.21
22 O 0.7500 0.5000 0.0000  6 Mg 2.12-2.14
23 O 0.5000 0.8006 0.1020  1 Fe 2.12, 5 Mg 2.12-2.17
24 Fe 0.9999 0.0000 0.0000  6 O 2.12-2.21
25 Mg 0.0000 0.4020 0.8018  6 O 2.11-2.16
26 O 0.0000 0.0000 0.5000  6 Mg 2.12-2.14
27 O 0.7500 0.3005 0.6020  1 Fe 2.12, 5 Mg 2.12-2.17
28 O 0.0000 0.1995 0.8980  1 Fe 2.12, 5 Mg 2.12-2.17
29 O 0.0000 0.3953 0.2894  4 Mg 2.10-2.12, 2 Fe 2.21
30 O 0.0000 0.6047 0.7106  4 Mg 2.10-2.12, 2 Fe 2.21
31 Fe 0.7501 0.5000 0.5000  6 O 2.12-2.21
32 O 0.2500 0.6994 0.3979  1 Fe 2.12, 5 Mg 2.12-2.17
33 O 0.7500 0.6995 0.3980  1 Fe 2.12, 5 Mg 2.12-2.17
34 O 0.5000 0.0000 0.5000  6 Mg 2.12-2.14
35 Mg 0.2500 0.7004 0.8994  6 O 2.10-2.17
36 Mg 0.0000 0.5980 0.1982  6 O 2.10-2.16
37 Mg 0.0000 0.7996 0.6006  6 O 2.10-2.17
38 Mg 0.7500 0.7004 0.8994  6 O 2.10-2.17
39 O 0.5000 0.1994 0.8980  1 Fe 2.12, 5 Mg 2.12-2.17
40 O 0.2501 0.8953 0.7894  4 Mg 2.10-2.12, 2 Fe 2.21

Record 5
Compound: MgMn2Tl2O6
Source: Materials Project
Functional: PBE+U
Structure: optimized geometry

Values from the calculation:
* DFT formation energy: -1.584 eV per atom
* space-group type: P1
* crystal system: triclinic
* uncorrected energy: -64.31 eV/cell
* total magnetization: 6.00 μB/cell
* distance to the lowest polymorph of the same formula: 206.0 meV per atom
* MP2020-corrected energy: -71.76 eV/f.u.
* mass density: 6.0 Mg/m³

a = 5.1987 Å, b = 8.0819 Å, c = 5.1982 Å
α = 108.83°, β = 120.01°, γ = 89.91°
Closest atoms and distances in Å follow each position.
Fractional coordinates of all 11 atoms:
1 O 0.9640 0.8542 0.5178  2 Mn 1.98-2.01, 1 Mg 2.02
2 Mn 0.6667 0.9988 0.3323  6 O 1.94-1.98
3 O 0.4299 0.1460 0.1047  2 Mn 1.90-1.94
4 Mg 0.2290 0.6835 0.4552  3 O 2.01-2.02
5 O 0.0412 0.1460 0.4709  2 Mn 1.90-1.94
6 O 0.6750 0.1460 0.7161  2 Mn 1.90-1.94
7 O 0.5557 0.8543 0.8907  2 Mn 1.98-2.01, 1 Mg 2.01
8 Tl 0.1030 0.3102 0.2068  3 O 2.32
9 Mn 0.3415 0.0236 0.6822  6 O 1.90-2.01
10 O 0.3368 0.8542 0.2989  2 Mn 1.98-2.01, 1 Mg 2.02
11 Tl 0.8947 0.6810 0.7868  3 O 2.41

Record 6
Compound: Mn2C7S2O7
Source: Materials Project
Functional: PBE+U
Structure: optimized geometry

Values from the calculation:
* DFT formation energy: -0.708 eV per atom
* space-group type: P2_12_12_1
* crystal system: orthorhombic
* uncorrected energy: -517.74 eV/cell
* total magnetization: 0.01 μB/cell
* MP2020-corrected energy: -138.58 eV/f.u.
* mass density: 2.0 Mg/m³

a = 6.9527 Å, b = 10.1905 Å, c = 17.5404 Å
α = 90.00°, β = 90.00°, γ = 90.00°
Closest atoms and distances in Å follow each position.
Fractional coordinates of all 72 atoms:
1 C 0.2641 0.8733 0.1550  1 O 1.16
2 C 0.9277 0.5878 0.3266  1 O 1.17
3 O 0.4857 0.8509 0.9787  1 C 1.16
4 S 0.1433 0.7843 0.5407  1 S 2.06
5 O 0.0500 0.4927 0.6860  1 C 1.16
6 S 0.5271 0.1413 0.1263  1 S 2.06
7 C 0.5723 0.4122 0.8266  1 O 1.17
8 Mn 0.2373 0.9852 0.5912  3 C 1.83-1.86
9 C 0.3996 0.9147 0.0215  1 O 1.16
10 O 0.8804 0.3983 0.1437  1 C 1.16
11 O 0.4500 0.5073 0.1860  1 C 1.16
12 Mn 0.2530 0.7510 0.6647  4 C 1.83-2.05
13 Mn 0.7530 0.7490 0.3353  4 C 1.83-2.05
14 C 0.0210 0.3383 0.1518  1 O 1.16
15 O 0.2642 0.7822 0.1949  1 C 1.16
16 C 0.8717 0.0916 0.8236  1 O 1.16
17 O 0.5500 0.0073 0.3140  1 C 1.16
18 S 0.3567 0.2157 0.0407  1 S 2.06
19 S 0.0271 0.3587 0.8737  1 S 2.06
20 C 0.3717 0.4084 0.1764  1 O 1.16
21 C 0.9790 0.8383 0.3482  1 O 1.16
22 O 0.0635 0.5504 0.2934  1 C 1.17
23 O 0.5985 0.0466 0.5055  1 C 1.16
24 Mn 0.2470 0.2490 0.1647  4 C 1.83-2.05
25 O 0.4015 0.5466 0.9945  1 C 1.16
26 O 0.1196 0.8983 0.3563  1 C 1.16
27 O 0.2358 0.2178 0.6949  1 C 1.16
28 C 0.6004 0.4147 0.4785  1 O 1.16
29 Mn 0.7373 0.5148 0.4088  3 C 1.83-1.86
30 S 0.4729 0.6413 0.3737  1 S 2.06
31 O 0.0985 0.4534 0.4945  1 C 1.16
32 C 0.4590 0.0229 0.5393  1 O 1.16
33 O 0.7358 0.2822 0.3051  1 C 1.16
34 C 0.7359 0.3733 0.3450  1 O 1.16
35 Mn 0.2627 0.0148 0.0912  3 C 1.83-1.86
36 O 0.9857 0.6491 0.0213  1 C 1.16
37 O 0.9015 0.9534 0.0055  1 C 1.16
38 C 0.0723 0.0878 0.1734  1 O 1.17
39 C 0.1004 0.0853 0.5215  1 O 1.16
40 O 0.9500 0.9927 0.8140  1 C 1.16
41 C 0.5410 0.5229 0.9607  1 O 1.16
42 O 0.7642 0.7178 0.8051  1 C 1.16
43 C 0.2462 0.2386 0.2691  1 O 1.16
44 O 0.7469 0.2621 0.6646  1 C 1.16
45 C 0.4790 0.6617 0.6518  1 O 1.16
46 Mn 0.7470 0.2510 0.8353  4 C 1.83-2.05
47 O 0.3804 0.1017 0.8563  1 C 1.16
48 C 0.7641 0.6267 0.8450  1 O 1.16
49 S 0.6433 0.7157 0.4593  1 S 2.06
50 C 0.0410 0.9771 0.0393  1 O 1.16
51 C 0.7538 0.7386 0.2309  1 O 1.16
52 Mn 0.7627 0.4852 0.9088  3 C 1.83-1.86
53 O 0.2531 0.7621 0.8354  1 C 1.16
54 C 0.6283 0.9084 0.3236  1 O 1.16
55 O 0.0143 0.1491 0.4787  1 C 1.16
56 C 0.7462 0.2614 0.7309  1 O 1.16
57 C 0.5210 0.1617 0.8482  1 O 1.16
58 O 0.2469 0.2379 0.3354  1 C 1.16
59 O 0.5635 0.9496 0.7066  1 C 1.17
60 O 0.5143 0.3509 0.5213  1 C 1.16
61 C 0.2538 0.7614 0.7691  1 O 1.16
62 C 0.8996 0.5853 0.9785  1 O 1.16
63 C 0.2359 0.1267 0.6550  1 O 1.16
64 O 0.9365 0.0504 0.2066  1 C 1.17
65 O 0.7531 0.7379 0.1646  1 C 1.16
66 S 0.9729 0.8587 0.6263  1 S 2.06
67 O 0.6196 0.6017 0.6437  1 C 1.16
68 C 0.1283 0.5916 0.6764  1 O 1.16
69 C 0.9590 0.4771 0.4607  1 O 1.16
70 C 0.4277 0.9122 0.6734  1 O 1.17
71 S 0.8567 0.2843 0.9593  1 S 2.06
72 O 0.4365 0.4496 0.7934  1 C 1.17